(1)
The following is a PBE calculation of a geometry-optimized RbSnCl3 structure, from the Materials Project database.

a = 5.599 Å, b = 5.599 Å, c = 5.613 Å
α = 90.60°, β = 90.60°, γ = 90.04°
Element x y z (fractional)
Rb  0.000  0.000  0.000
Sn  0.518  0.518  0.461
Cl  0.019  0.524  0.457
Cl  0.514  0.514  0.974
Cl  0.524  0.019  0.457

Space group: Cm

=====

(2)
The following is a PBE calculation of a geometry-optimized RbSnCl3 structure, from the Materials Project database.

a = 7.846 Å, b = 7.846 Å, c = 7.846 Å
α = 61.23°, β = 61.23°, γ = 61.23°
Element x y z (fractional)
Rb  0.000  0.000  0.000
Rb  0.500  0.500  0.500
Sn  0.228  0.228  0.228
Sn  0.728  0.728  0.728
Cl  0.077  0.915  0.448
Cl  0.415  0.577  0.948
Cl  0.448  0.077  0.915
Cl  0.577  0.948  0.415
Cl  0.915  0.448  0.077
Cl  0.948  0.415  0.577

Space group: R3c

=====

(3)
The following is a PBE calculation of a geometry-optimized RbSr2Cl5 structure, from the Materials Project database.

a = 9.095 Å, b = 8.039 Å, c = 13.033 Å
α = 90.00°, β = 90.27°, γ = 90.00°
Element x y z (fractional)
Rb  0.006  0.038  0.330
Rb  0.006  0.462  0.830
Rb  0.994  0.538  0.170
Rb  0.994  0.962  0.670
Sr  0.254  0.563  0.495
Sr  0.254  0.937  0.995
Sr  0.500  0.021  0.323
Sr  0.500  0.479  0.823
Sr  0.500  0.521  0.177
Sr  0.500  0.979  0.677
Sr  0.746  0.063  0.005
Sr  0.746  0.437  0.505
Cl  0.030  0.163  0.086
Cl  0.030  0.337  0.586
Cl  0.277  0.694  0.712
Cl  0.277  0.806  0.212
Cl  0.290  0.169  0.818
Cl  0.290  0.331  0.318
Cl  0.290  0.553  0.996
Cl  0.290  0.947  0.496
Cl  0.461  0.159  0.103
Cl  0.461  0.341  0.603
Cl  0.539  0.659  0.397
Cl  0.539  0.841  0.897
Cl  0.710  0.053  0.504
Cl  0.710  0.447  0.004
Cl  0.710  0.669  0.682
Cl  0.710  0.831  0.182
Cl  0.723  0.194  0.788
Cl  0.723  0.306  0.288
Cl  0.970  0.663  0.414
Cl  0.970  0.837  0.914

Space group: P2_1/c

=====

(4)
The following is a PBE calculation of a geometry-optimized RbTaCl6 structure, from the Materials Project database.

a = 7.025 Å, b = 7.025 Å, c = 12.613 Å
α = 100.69°, β = 100.69°, γ = 55.36°
Element x y z (fractional)
Rb  0.119  0.881  0.750
Rb  0.881  0.119  0.250
Ta  0.000  0.500  0.000
Ta  0.500  0.000  0.500
Cl  0.109  0.203  0.540
Cl  0.199  0.371  0.843
Cl  0.203  0.109  0.040
Cl  0.298  0.537  0.103
Cl  0.371  0.199  0.343
Cl  0.463  0.702  0.397
Cl  0.537  0.298  0.603
Cl  0.629  0.801  0.657
Cl  0.702  0.463  0.897
Cl  0.797  0.891  0.960
Cl  0.801  0.629  0.157
Cl  0.891  0.797  0.460

Space group: C2/c

=====

(5)
The following is a PBE calculation of a geometry-optimized Rb2TcCl6 structure, from the Materials Project database.

a = 7.327 Å, b = 7.327 Å, c = 7.327 Å
α = 60.00°, β = 60.00°, γ = 60.00°
Element x y z (fractional)
Rb  0.250  0.250  0.250
Rb  0.750  0.750  0.750
Tc  0.000  0.000  0.000
Cl  0.229  0.229  0.771
Cl  0.229  0.771  0.229
Cl  0.229  0.771  0.771
Cl  0.771  0.229  0.229
Cl  0.771  0.229  0.771
Cl  0.771  0.771  0.229

Space group: Fm-3m

=====

(6)
The following is a PBE calculation of a geometry-optimized RbTlCl2 structure, from the Materials Project database.

a = 9.355 Å, b = 9.355 Å, c = 9.355 Å
α = 120.02°, β = 120.02°, γ = 89.96°
Element x y z (fractional)
Rb  0.000  0.000  0.000
Rb  0.000  0.000  0.500
Rb  0.000  0.500  0.000
Rb  0.500  0.000  0.500
Tl  0.000  0.500  0.500
Tl  0.500  0.000  0.000
Tl  0.500  0.500  0.000
Tl  0.500  0.500  0.500
Cl  0.252  0.255  0.504
Cl  0.252  0.748  0.504
Cl  0.252  0.748  0.996
Cl  0.255  0.252  0.004
Cl  0.745  0.748  0.996
Cl  0.748  0.252  0.004
Cl  0.748  0.252  0.496
Cl  0.748  0.745  0.496

Space group: I4_1/amd

=====

(7)
The following is a PBE calculation of a geometry-optimized RbTlCl3 structure, from the Materials Project database.

a = 7.965 Å, b = 7.965 Å, c = 7.965 Å
α = 60.00°, β = 60.00°, γ = 60.00°
Element x y z (fractional)
Rb  0.250  0.250  0.250
Rb  0.750  0.750  0.750
Tl  0.000  0.000  0.000
Tl  0.500  0.500  0.500
Cl  0.234  0.234  0.766
Cl  0.234  0.766  0.234
Cl  0.234  0.766  0.766
Cl  0.766  0.234  0.234
Cl  0.766  0.234  0.766
Cl  0.766  0.766  0.234

Space group: Fm-3m

=====

(8)
The following is a PBE calculation of a geometry-optimized Rb2YTlCl6 structure, from the Materials Project database.

a = 8.087 Å, b = 8.087 Å, c = 8.087 Å
α = 60.00°, β = 60.00°, γ = 60.00°
Element x y z (fractional)
Rb  0.250  0.250  0.250
Rb  0.750  0.750  0.750
Y  0.000  0.000  0.000
Tl  0.500  0.500  0.500
Cl  0.231  0.231  0.769
Cl  0.231  0.769  0.231
Cl  0.231  0.769  0.769
Cl  0.769  0.231  0.231
Cl  0.769  0.231  0.769
Cl  0.769  0.769  0.231

Space group: Fm-3m

=====

no.,formation enthalpy at 0 K (kJ/mol of atoms)
1,-170
2,-172
3,-264
4,-194
5,-170
6,-172
7,-157
8,-218